Entry 1:
Below is VHO3 after structural relaxation, with properties calculated at the PBE+U level.

Results
total magnetization: 1.00 μB/f.u.
calculated density: 2.3 g cm⁻³
corrected total energy (MP2020 scheme): -7.153 eV per atom
energy of formation: -1689 meV/atom
crystal system: triclinic

The structure in extended XYZ format:
```
20
Lattice="3.717 0.000 0.000 -1.789 5.825 0.000 -1.473 -0.577 13.054" Properties=species:S:1:pos:R:3 pbc="T T T"
V 0.000 0.000 0.000
V -0.663 1.620 3.863
V -1.382 2.790 12.807
V 1.171 4.014 3.845
H -0.484 1.981 6.406
H 0.476 0.152 8.074
H -1.091 5.078 9.350
H 2.078 3.421 1.441
O -0.703 1.452 5.598
O 0.006 1.625 0.612
O -0.683 3.550 3.362
O -1.327 2.635 11.208
O -0.906 5.126 8.387
O 0.074 5.301 0.299
O 1.190 2.019 3.431
O 0.768 1.805 8.307
O 1.155 4.112 5.453
O 1.945 3.672 0.492
O 1.248 5.670 3.201
O 2.244 -0.487 11.440
```

=====

Entry 2:
Below is MgV3O4F4 after structural relaxation, with properties calculated at the PBE+U level.

Results
total magnetization: 5.00 μB/f.u.
calculated density: 3.6 g cm⁻³
corrected total energy (MP2020 scheme): -7.507 eV per atom
energy of formation: -2816 meV/atom
energy above the lowest structure with this stoichiometry: 0.115 eV/atom
crystal system: monoclinic

The structure in extended XYZ format:
```
12
Lattice="4.890 0.000 0.000 0.000 3.060 0.000 -0.077 0.000 9.807" Properties=species:S:1:pos:R:3 pbc="T T T"
Mg 0.000 0.000 0.000
V 0.151 0.000 2.864
V 1.955 0.000 7.315
V 4.339 1.530 5.316
O 0.345 0.000 6.308
O 0.790 1.530 3.846
O 2.808 1.530 6.509
O 3.663 0.000 4.266
F 0.777 1.530 8.705
F 1.408 0.000 1.363
F 3.140 0.000 8.894
F 4.249 1.530 1.407
```

=====

Entry 3:
Below is Li9Mn2Co5O16 after structural relaxation, with properties calculated at the PBE+U level.

Results
total magnetization: 10.00 μB/f.u.
calculated density: 4.2 g cm⁻³
corrected total energy (MP2020 scheme): -6.534 eV per atom
energy of formation: -1840 meV/atom
energy above the lowest structure with this stoichiometry: 0.024 eV/atom
crystal system: triclinic

The structure in extended XYZ format:
```
32
Lattice="5.918 0.000 0.000 2.776 7.163 0.000 2.885 2.487 6.758" Properties=species:S:1:pos:R:3 pbc="T T T"
Li 0.000 0.000 0.000
Li 2.838 4.803 3.368
Li 4.211 7.178 2.439
Li 2.875 2.423 1.672
Li 4.289 4.822 0.858
Li 2.919 0.024 0.035
Li 7.264 4.847 5.962
Li 8.679 7.234 5.087
Li 7.335 2.466 4.266
Mn 5.697 7.265 5.094
Mn 4.335 2.459 4.244
Co 4.265 4.773 5.998
Co 5.768 4.837 3.356
Co 7.224 7.225 2.446
Co 5.842 2.407 1.691
Co 7.301 4.836 0.837
O 2.992 3.604 4.999
O 1.469 1.270 0.778
O 4.380 6.050 4.329
O 5.729 6.166 6.665
O 5.768 8.414 3.506
O 4.353 3.598 2.673
O 7.104 8.423 5.750
O 5.706 3.615 4.996
O 5.793 5.959 1.709
O 7.071 6.124 4.178
O 4.467 1.241 0.976
O 5.744 1.374 3.336
O 5.902 3.519 0.112
O 7.127 3.599 2.469
O 10.233 8.313 5.874
O 8.582 5.958 1.720
```